Below is a relaxed CaFeO2 crystal, with properties calculated at the PBE+U level.

Calculated values
For the formation energy, the calculation gives -2362 meV per atom. The value obtained for the total energy is -104.76 eV per cell.

Geometry as CIF:
```
data_CaFeO2
_chemical_formula_sum 'Ca4 Fe4 O8'
_cell_length_a 3.2565
_cell_length_b 7.9143
_cell_length_c 8.0200
_cell_angle_alpha 107.97
_cell_angle_beta 90.10
_cell_angle_gamma 90.70
_space_group_name_H-M_alt 'P -1'
_space_group_IT_number 2
_space_group_name_Hall '-P 1'
loop_
_atom_site_label
_atom_site_type_symbol
_atom_site_fract_x
_atom_site_fract_y
_atom_site_fract_z
Ca1 Ca 0.2388 0.4352 0.3135
Ca2 Ca 0.2483 0.7027 0.0692
Fe1 Fe 0.2509 0.1808 0.5591
Fe2 Fe 0.2575 0.9336 0.8050
O1 O 0.1961 0.9473 0.3207
O2 O 0.2573 0.4345 0.8120
O3 O 0.2623 0.1693 0.0729
O4 O 0.2767 0.7027 0.5539
```